Entry 1:
28
Lattice="8.123 0.000 0.000 0.000 7.277 0.000 0.000 0.000 11.647" Properties=species:S:1:pos:R:3 comment="PBE Sm2MgS4, relaxed" formation_enthalpy_0k_mev_per_atom=-1956 density_kg_m3=4373 energy_corrected_mp2020_ev_per_cell=-165.10 pbc="T T T"
Sm 0.284 1.819 2.194
Sm 0.653 5.457 5.493
Sm 3.408 1.819 11.317
Sm 3.778 5.457 8.018
Sm 4.345 1.819 3.629
Sm 4.715 5.457 0.330
Sm 7.470 1.819 6.154
Sm 7.840 5.457 9.453
Mg 1.519 5.457 1.018
Mg 2.543 1.819 6.842
Mg 5.581 5.457 4.805
Mg 6.604 1.819 10.629
S 0.772 1.819 11.070
S 1.116 3.651 7.632
S 1.116 7.264 7.632
S 1.723 1.819 4.554
S 2.339 5.457 10.377
S 2.945 0.012 1.809
S 2.945 3.626 1.809
S 3.290 5.457 5.247
S 4.834 1.819 6.400
S 5.178 3.651 9.838
S 5.178 7.264 9.838
S 5.785 1.819 1.270
S 6.400 5.457 7.093
S 7.007 0.012 4.015
S 7.007 3.626 4.015
S 7.351 5.457 0.577


Entry 2:
14
Lattice="0.000 5.689 5.689 5.689 0.000 5.689 5.689 5.689 0.000" Properties=species:S:1:pos:R:3 comment="PBE Sm2MgS4, relaxed" formation_enthalpy_0k_mev_per_atom=-2121 density_kg_m3=4087 energy_corrected_mp2020_ev_per_cell=-84.86 pbc="T T T"
Sm 0.000 0.000 0.000
Sm 2.845 2.845 0.000
Sm 2.845 0.000 2.845
Sm 0.000 2.845 2.845
Mg 4.267 4.267 4.267
Mg 7.112 7.112 7.112
S 8.574 5.649 5.649
S 2.805 2.805 2.805
S 5.729 5.729 2.805
S 5.729 2.805 5.729
S 5.649 8.574 5.649
S 5.649 5.649 8.574
S 8.574 8.574 8.574
S 2.805 5.729 5.729


Entry 3:
28
Lattice="7.530 0.000 0.000 -0.206 8.810 0.000 -1.306 -2.100 11.567" Properties=species:S:1:pos:R:3 comment="PBE Sm2MgS4, relaxed" formation_enthalpy_0k_mev_per_atom=-1970 density_kg_m3=3923 energy_corrected_mp2020_ev_per_cell=-165.48 pbc="T T T"
Sm 0.462 3.240 3.866
Sm 0.391 7.841 4.013
Sm 0.565 -0.957 11.536
Sm 1.818 1.202 7.610
Sm 4.200 5.508 3.958
Sm 5.453 7.667 0.031
Sm 5.627 -1.131 7.554
Sm 5.556 3.470 7.702
Mg 0.491 3.271 11.483
Mg 1.656 5.542 7.951
Mg 4.363 1.168 3.616
Mg 5.527 3.439 0.084
S 0.508 3.385 1.218
S 0.408 7.854 1.382
S 0.597 3.521 6.984
S 0.735 -1.221 7.033
S 1.608 5.548 4.351
S 2.064 1.197 4.556
S 1.567 5.483 10.351
S 1.773 1.297 10.254
S 4.245 5.413 1.314
S 4.451 1.227 1.217
S 3.954 5.513 7.011
S 4.410 1.162 7.216
S 5.283 7.932 4.534
S 5.421 3.189 4.584
S 5.611 -1.144 10.185
S 5.510 3.325 10.349


Entry 4:
56
Lattice="12.920 0.000 0.000 0.000 7.728 0.000 0.000 0.000 12.950" Properties=species:S:1:pos:R:3 comment="PBE Sm2MgS4, relaxed" formation_enthalpy_0k_mev_per_atom=-2137 density_kg_m3=4657 energy_corrected_mp2020_ev_per_cell=-340.35 pbc="T T T"
Sm 1.414 0.890 0.000
Sm 1.642 4.766 4.643
Sm 1.734 2.858 8.949
Sm 1.743 6.723 8.961
Sm 4.717 6.723 2.486
Sm 4.726 2.858 2.474
Sm 4.818 4.766 11.118
Sm 5.046 0.890 6.475
Sm 7.874 6.838 0.000
Sm 8.102 2.961 4.643
Sm 8.194 4.870 8.949
Sm 8.203 1.005 8.961
Sm 11.177 1.005 2.486
Sm 11.186 4.870 2.474
Sm 11.278 2.961 11.118
Sm 11.506 6.838 6.475
Mg 1.435 4.757 12.849
Mg 1.625 0.930 4.715
Mg 4.835 0.930 11.190
Mg 5.025 4.757 6.374
Mg 7.895 2.970 12.849
Mg 8.085 6.798 4.715
Mg 11.295 6.798 11.190
Mg 11.485 2.970 6.374
S 0.154 0.927 10.436
S 0.307 4.850 10.573
S 0.388 4.790 7.190
S 0.579 0.977 7.070
S 2.724 0.924 2.418
S 2.731 4.784 2.102
S 2.991 2.835 11.756
S 3.009 6.718 11.783
S 3.451 6.718 5.308
S 3.469 2.835 5.281
S 3.736 0.924 8.893
S 3.729 4.784 8.577
S 5.881 0.977 0.595
S 6.072 4.790 0.715
S 6.153 4.850 4.098
S 6.306 0.927 3.962
S 6.614 6.800 10.436
S 6.767 2.878 10.573
S 6.848 2.938 7.190
S 7.039 6.751 7.070
S 9.191 2.944 2.102
S 9.184 6.804 2.418
S 9.450 4.893 11.756
S 9.469 1.010 11.783
S 9.910 1.010 5.308
S 9.929 4.893 5.281
S 10.189 2.944 8.577
S 10.196 6.804 8.893
S 12.341 6.751 0.595
S 12.532 2.938 0.715
S 12.613 2.878 4.098
S 12.766 6.800 3.962


Entry 5:
28
Lattice="13.828 0.000 0.000 0.000 8.108 0.000 0.000 0.000 6.607" Properties=species:S:1:pos:R:3 comment="PBE Sm2MgS4, relaxed" formation_enthalpy_0k_mev_per_atom=-2131 density_kg_m3=4065 energy_corrected_mp2020_ev_per_cell=-170.01 pbc="T T T"
Sm 0.000 0.000 0.000
Sm 0.000 4.054 0.000
Sm 3.196 2.027 3.295
Sm 3.718 6.081 6.599
Sm 6.914 0.000 3.303
Sm 6.914 4.054 3.303
Sm 10.110 2.027 0.008
Sm 10.632 6.081 3.311
Mg 1.286 6.081 2.794
Mg 5.628 2.027 6.097
Mg 8.200 6.081 0.509
Mg 12.541 2.027 3.812
S 0.938 2.027 4.917
S 1.274 6.081 5.200
S 2.322 4.170 1.628
S 2.322 7.992 1.628
S 4.592 0.116 4.932
S 4.592 3.938 4.932
S 5.640 2.027 1.896
S 5.976 6.081 1.614
S 7.852 2.027 4.993
S 8.188 6.081 4.710
S 9.235 4.170 1.675
S 9.235 7.992 1.675
S 11.506 0.116 4.978
S 11.506 3.938 4.978
S 12.554 2.027 1.407
S 12.890 6.081 1.689


Entry 6:
14
Lattice="-4.138 4.138 4.347 4.138 -4.138 4.347 4.138 4.138 -4.347" Properties=species:S:1:pos:R:3 comment="PBE Sm2MgS4, relaxed" formation_enthalpy_0k_mev_per_atom=-2093 density_kg_m3=5056 energy_corrected_mp2020_ev_per_cell=-84.47 pbc="T T T"
Sm 6.207 1.094 -1.087
Sm 1.094 2.069 1.087
Sm -2.069 3.044 3.260
Sm 3.044 2.069 5.434
Mg 4.138 0.000 2.173
Mg 0.000 0.000 4.347
S 4.703 -2.504 2.687
S 1.634 -0.564 1.660
S 3.574 1.634 -0.513
S 6.642 0.564 1.660
S 2.504 -0.564 4.860
S 3.574 2.504 2.687
S 1.634 4.703 0.513
S 0.564 2.504 3.833